## A
## Sr2MgCuO4 (PBE)

Data for a relaxed structure of Sr2MgCuO4.

Values from the calculation:
The space-group type is C2/m.

Unit cell a=9.743 b=8.822 c=9.246 alpha=155.68 beta=156.93 gamma=34.50
Atoms (fractional coordinates):
Cu (0.000, 0.000, 0.000)
Sr (0.471, 0.332, 0.000)
Mg (0.000, 0.500, 0.000)
O (0.000, 0.500, 0.500)
Sr (0.529, 0.668, 0.000)
O (0.500, 0.000, 0.500)
O (0.174, 0.161, 0.000)
O (0.826, 0.839, 0.000)

## B
## Sr2MgCuO4 (PBE)

Data for a relaxed structure of Sr2MgCuO4.

Values from the calculation:
The space-group type is I-4m2.

Unit cell a=8.777 b=8.777 c=8.777 alpha=155.48 beta=155.48 gamma=34.96
Atoms (fractional coordinates):
O (0.497, 0.997, 0.500)
Mg (0.250, 0.750, 0.500)
O (0.186, 0.186, 0.000)
Cu (0.000, 0.000, 0.000)
Sr (0.395, 0.395, 0.000)
O (0.003, 0.503, 0.500)
O (0.814, 0.814, 0.000)
Sr (0.605, 0.605, 0.000)

Result of the stability comparison: B is the most stable of them.

## A
## SrMg14CuO16 (PBE)

Data for a relaxed structure of SrMg14CuO16.

Values from the calculation:
The space-group type is P4/mmm.

Unit cell a=8.641 b=8.641 c=4.405 alpha=90.00 beta=90.00 gamma=90.00
Atoms (fractional coordinates):
O (0.000, 0.000, 0.500)
Mg (0.000, 0.247, 0.500)
O (0.000, 0.248, 0.000)
O (0.752, 0.000, 0.000)
O (0.248, 0.000, 0.000)
Sr (0.500, 0.500, 0.000)
O (0.228, 0.500, 0.000)
Mg (0.243, 0.757, 0.000)
Mg (0.500, 0.760, 0.500)
Mg (0.757, 0.757, 0.000)
Mg (0.760, 0.500, 0.500)
O (0.750, 0.250, 0.500)
Mg (0.000, 0.753, 0.500)
Mg (0.757, 0.243, 0.000)
Mg (0.240, 0.500, 0.500)
O (0.000, 0.500, 0.500)
Mg (0.000, 0.500, 0.000)
Mg (0.247, 0.000, 0.500)
O (0.500, 0.500, 0.500)
Mg (0.753, 0.000, 0.500)
O (0.000, 0.752, 0.000)
O (0.750, 0.750, 0.500)
O (0.250, 0.750, 0.500)
Mg (0.500, 0.240, 0.500)
O (0.500, 0.772, 0.000)
Cu (0.000, 0.000, 0.000)
O (0.250, 0.250, 0.500)
Mg (0.243, 0.243, 0.000)
O (0.772, 0.500, 0.000)
O (0.500, 0.000, 0.500)
Mg (0.500, 0.000, 0.000)
O (0.500, 0.228, 0.000)

## B
## SrMg14CuO16 (PBE)

Data for a relaxed structure of SrMg14CuO16.

Values from the calculation:
The space-group type is Pmmm.

Unit cell a=8.764 b=8.549 c=4.390 alpha=90.00 beta=90.00 gamma=90.00
Atoms (fractional coordinates):
Mg (0.500, 0.000, 0.000)
O (0.751, 0.250, 0.500)
O (0.266, 0.000, 0.000)
O (0.500, 0.500, 0.500)
O (0.000, 0.225, 0.000)
O (0.751, 0.750, 0.500)
Mg (0.740, 0.500, 0.500)
Mg (0.742, 0.243, 0.000)
Mg (0.748, 0.000, 0.500)
Mg (0.000, 0.239, 0.500)
O (0.500, 0.248, 0.000)
O (0.000, 0.775, 0.000)
Mg (0.500, 0.248, 0.500)
Mg (0.252, 0.000, 0.500)
Mg (0.260, 0.500, 0.500)
O (0.734, 0.000, 0.000)
O (0.249, 0.250, 0.500)
Sr (0.000, 0.500, 0.000)
Mg (0.258, 0.243, 0.000)
Mg (0.742, 0.757, 0.000)
Mg (0.500, 0.500, 0.000)
O (0.729, 0.500, 0.000)
Mg (0.258, 0.757, 0.000)
Cu (0.000, 0.000, 0.000)
O (0.500, 0.752, 0.000)
O (0.500, 0.000, 0.500)
O (0.249, 0.750, 0.500)
O (0.271, 0.500, 0.000)
Mg (0.500, 0.752, 0.500)
O (0.000, 0.000, 0.500)
O (0.000, 0.500, 0.500)
Mg (0.000, 0.761, 0.500)

Result of the stability comparison: B is the most stable of them.

## A
## SrMgCu2O3 (PBE)

Data for a relaxed structure of SrMgCu2O3.

Values from the calculation:
The space-group type is P2/m.

Unit cell a=3.191 b=3.938 c=8.201 alpha=118.71 beta=90.00 gamma=90.00
Atoms (fractional coordinates):
O (0.000, 0.693, 0.691)
O (0.000, 0.307, 0.309)
Cu (0.000, 0.790, 0.293)
Mg (0.500, 0.500, 0.500)
Sr (0.500, 0.000, 0.000)
O (0.000, 0.500, 0.000)
Cu (0.000, 0.210, 0.707)

## B
## SrMgCu2O3 (PBE)

Data for a relaxed structure of SrMgCu2O3.

Values from the calculation:
The space-group type is Cmmm.

Unit cell a=5.733 b=4.006 c=6.304 alpha=108.53 beta=90.00 gamma=90.00
Atoms (fractional coordinates):
O (0.000, 0.500, 0.000)
Cu (0.000, 0.330, 0.661)
Mg (0.000, 0.000, 0.000)
O (0.000, 0.161, 0.322)
Cu (0.000, 0.670, 0.339)
O (0.000, 0.839, 0.678)
Sr (0.500, 0.000, 0.000)

Result of the stability comparison: A is the most stable of them.

## A
## SrMg6CuO8 (PBE)

Data for a relaxed structure of SrMg6CuO8.

Values from the calculation:
The space-group type is P4/mmm.

Unit cell a=8.583 b=4.521 c=4.521 alpha=90.00 beta=90.00 gamma=90.00
Atoms (fractional coordinates):
Mg (0.762, 0.500, 0.000)
O (0.500, 0.500, 0.000)
O (0.775, 0.000, 0.000)
Mg (0.500, 0.500, 0.500)
Mg (0.762, 0.000, 0.500)
Mg (0.238, 0.000, 0.500)
Mg (0.238, 0.500, 0.000)
O (0.750, 0.500, 0.500)
O (0.000, 0.500, 0.000)
Sr (0.500, 0.000, 0.000)
Cu (0.000, 0.000, 0.000)
Mg (0.000, 0.500, 0.500)
O (0.225, 0.000, 0.000)
O (0.000, 0.000, 0.500)
O (0.500, 0.000, 0.500)
O (0.250, 0.500, 0.500)

## B
## SrMg6CuO8 (PBE)

Data for a relaxed structure of SrMg6CuO8.

Values from the calculation:
The space-group type is P4/mmm.

Unit cell a=8.730 b=4.476 c=4.476 alpha=90.00 beta=90.00 gamma=90.00
Atoms (fractional coordinates):
Mg (0.260, 0.000, 0.500)
O (0.273, 0.500, 0.500)
Sr (0.000, 0.500, 0.500)
O (0.727, 0.500, 0.500)
O (0.500, 0.000, 0.500)
Mg (0.500, 0.500, 0.500)
O (0.254, 0.000, 0.000)
Cu (0.000, 0.000, 0.000)
Mg (0.260, 0.500, 0.000)
O (0.000, 0.500, 0.000)
O (0.746, 0.000, 0.000)
Mg (0.740, 0.000, 0.500)
O (0.500, 0.500, 0.000)
Mg (0.500, 0.000, 0.000)
O (0.000, 0.000, 0.500)
Mg (0.740, 0.500, 0.000)

Result of the stability comparison: A is the most stable of them.